(1)
{"formula": "Li5Cr2Co5O12", "functional": "PBE+U", "state": "relaxed", "space_group": "C2", "lattice": [[-3.431, -2.971, 2.422], [1.652, -1.225, -4.715], [6.604, -6.636, 3.079]], "species": ["O", "O", "O", "O", "O", "O", "O", "O", "O", "O", "O", "O", "Co", "Co", "Co", "Co", "Co", "Cr", "Cr", "Li", "Li", "Li", "Li", "Li"], "fractional_positions": [[0.133, 0.603, 0.884], [0.865, 0.387, 0.615], [0.219, 0.040, 0.621], [0.048, 0.233, 0.119], [0.767, 0.952, 0.881], [0.290, 0.472, 0.385], [0.613, 0.135, 0.385], [0.397, 0.867, 0.116], [0.704, 0.526, 0.116], [0.474, 0.296, 0.884], [0.528, 0.710, 0.615], [0.960, 0.781, 0.379], [0.578, 0.422, 0.500], [0.004, 0.509, 0.244], [0.422, 0.578, 0.000], [0.491, 0.996, 0.756], [0.914, 0.086, 0.500], [0.245, 0.755, 0.500], [0.753, 0.247, 0.000], [0.329, 0.171, 0.245], [0.829, 0.671, 0.755], [0.175, 0.325, 0.759], [0.087, 0.913, 0.000], [0.675, 0.825, 0.241]]}


(2)
{"formula": "Li2CrCo3O8", "functional": "PBE+U", "state": "relaxed", "space_group": "C2", "e_above_lowest_polymorph_mev_per_atom": 21, "lattice": [[-4.776, -3.210, 5.738], [-1.313, -6.498, -4.700], [6.450, -3.710, 3.309]], "species": ["Li", "Li", "Li", "Li", "Li", "Li", "Li", "Li", "O", "O", "O", "O", "O", "O", "O", "O", "O", "O", "O", "O", "O", "O", "O", "O", "O", "O", "O", "O", "O", "O", "O", "O", "O", "O", "O", "O", "O", "O", "O", "O", "Co", "Co", "Co", "Co", "Co", "Co", "Co", "Co", "Co", "Co", "Co", "Co", "Cr", "Cr", "Cr", "Cr"], "fractional_positions": [[0.251, 0.499, 0.122], [0.748, 0.000, 0.125], [0.000, 0.252, 0.875], [0.751, 0.496, 0.624], [0.501, 0.749, 0.878], [0.504, 0.249, 0.376], [0.252, 0.999, 0.625], [0.001, 0.748, 0.375], [0.642, 0.617, 0.015], [0.109, 0.364, 0.261], [0.611, 0.636, 0.487], [0.606, 0.125, 0.980], [0.645, 0.388, 0.244], [0.862, 0.889, 0.509], [0.360, 0.889, 0.012], [0.114, 0.865, 0.769], [0.864, 0.612, 0.236], [0.636, 0.891, 0.739], [0.388, 0.136, 0.764], [0.142, 0.106, 0.008], [0.888, 0.139, 0.266], [0.135, 0.886, 0.231], [0.639, 0.110, 0.517], [0.383, 0.358, 0.985], [0.861, 0.112, 0.734], [0.890, 0.361, 0.483], [0.140, 0.614, 0.516], [0.362, 0.609, 0.741], [0.140, 0.390, 0.734], [0.386, 0.860, 0.484], [0.875, 0.394, 0.020], [0.612, 0.355, 0.756], [0.894, 0.858, 0.992], [0.610, 0.860, 0.266], [0.111, 0.138, 0.491], [0.364, 0.389, 0.513], [0.362, 0.113, 0.232], [0.391, 0.638, 0.259], [0.111, 0.640, 0.988], [0.887, 0.638, 0.768], [0.374, 0.372, 0.751], [0.622, 0.124, 0.747], [0.128, 0.872, 0.000], [0.624, 0.874, 0.499], [0.126, 0.376, 0.501], [0.877, 0.625, 0.003], [0.127, 0.623, 0.751], [0.377, 0.873, 0.249], [0.628, 0.626, 0.249], [0.876, 0.378, 0.253], [0.375, 0.123, 0.997], [0.874, 0.126, 0.500], [0.126, 0.124, 0.253], [0.625, 0.375, 0.000], [0.379, 0.621, 0.500], [0.876, 0.874, 0.747]]}


(3)
{"formula": "Li3CrCo3O8", "functional": "PBE+U", "state": "relaxed", "space_group": "P-1", "e_above_lowest_polymorph_mev_per_atom": 108, "lattice": [[1.682, -5.653, -0.023], [0.010, 3.056, -4.985], [8.739, 5.634, -0.012]], "species": ["O", "O", "O", "O", "O", "O", "O", "O", "O", "O", "O", "O", "O", "O", "O", "O", "Li", "Li", "Li", "Li", "Li", "Li", "Co", "Co", "Co", "Co", "Co", "Co", "Cr", "Cr"], "fractional_positions": [[0.380, 0.616, 0.609], [0.879, 0.119, 0.108], [0.867, 0.632, 0.106], [0.620, 0.384, 0.391], [0.121, 0.881, 0.892], [0.650, 0.884, 0.892], [0.374, 0.633, 0.116], [0.860, 0.639, 0.607], [0.350, 0.116, 0.108], [0.140, 0.361, 0.393], [0.133, 0.368, 0.894], [0.388, 0.145, 0.609], [0.125, 0.857, 0.387], [0.875, 0.143, 0.613], [0.613, 0.855, 0.391], [0.626, 0.367, 0.884], [0.253, 0.252, 0.251], [0.752, 0.256, 0.750], [0.748, 0.749, 0.749], [0.746, 0.749, 0.250], [0.254, 0.251, 0.750], [0.248, 0.744, 0.250], [0.500, 0.500, 0.000], [0.000, 0.500, 0.500], [0.000, 0.000, 0.500], [0.000, 0.500, 0.000], [0.500, 0.000, 0.000], [0.500, 0.000, 0.500], [0.000, 0.000, 0.000], [0.500, 0.500, 0.500]]}


(4)
{"formula": "Li3CrCo3O8", "functional": "PBE+U", "state": "relaxed", "space_group": "R-3m", "e_above_lowest_polymorph_mev_per_atom": 10, "lattice": [[0.762, 3.197, 4.837], [-2.364, -1.550, 5.119], [3.277, -1.894, 4.458]], "species": ["O", "O", "O", "O", "O", "O", "O", "O", "Co", "Co", "Co", "Li", "Li", "Li", "Cr"], "fractional_positions": [[0.740, 0.237, 0.237], [0.738, 0.738, 0.738], [0.262, 0.262, 0.262], [0.260, 0.763, 0.763], [0.237, 0.237, 0.740], [0.237, 0.740, 0.237], [0.763, 0.763, 0.260], [0.763, 0.260, 0.763], [0.500, 0.500, 0.000], [0.500, 0.000, 0.500], [0.000, 0.500, 0.500], [0.000, 0.000, 0.500], [0.000, 0.500, 0.000], [0.500, 0.000, 0.000], [0.000, 0.000, 0.000]]}


(5)
{"formula": "Li4CrCo3O8", "functional": "PBE+U", "state": "relaxed", "space_group": "R-3m", "lattice": [[5.108, -2.941, 0.000], [5.108, 2.941, 0.000], [3.415, 0.000, 4.804]], "species": ["Li", "Li", "Li", "Li", "O", "O", "O", "O", "O", "O", "O", "O", "Co", "Co", "Co", "Cr"], "fractional_positions": [[0.000, 0.000, 0.500], [0.500, 0.000, 0.000], [0.500, 0.500, 0.500], [0.000, 0.500, 0.000], [0.759, 0.759, 0.257], [0.257, 0.759, 0.759], [0.256, 0.256, 0.256], [0.241, 0.743, 0.241], [0.759, 0.257, 0.759], [0.744, 0.744, 0.744], [0.743, 0.241, 0.241], [0.241, 0.241, 0.743], [0.500, 0.500, 0.000], [0.500, 0.000, 0.500], [0.000, 0.500, 0.500], [0.000, 0.000, 0.000]]}


(6)
{"formula": "Li4Cr3CoO8", "functional": "PBE+U", "state": "relaxed", "space_group": "P-1", "e_above_lowest_polymorph_mev_per_atom": 13, "lattice": [[-5.570, 1.655, 1.217], [0.326, -8.777, -1.123], [3.790, -1.543, 5.212]], "species": ["O", "O", "O", "O", "O", "O", "O", "O", "O", "O", "O", "O", "O", "O", "O", "O", "Li", "Li", "Li", "Li", "Li", "Li", "Li", "Li", "Cr", "Cr", "Cr", "Cr", "Cr", "Cr", "Co", "Co"], "fractional_positions": [[0.134, 0.258, 0.013], [0.631, 0.757, 0.525], [0.606, 0.985, 0.734], [0.109, 0.992, 0.733], [0.114, 0.493, 0.232], [0.866, 0.242, 0.487], [0.394, 0.515, 0.766], [0.120, 0.758, 0.507], [0.886, 0.007, 0.267], [0.640, 0.258, 0.013], [0.880, 0.742, 0.993], [0.610, 0.488, 0.233], [0.360, 0.242, 0.487], [0.891, 0.508, 0.767], [0.369, 0.743, 0.975], [0.390, 0.012, 0.267], [0.503, 0.001, 0.999], [0.000, 0.502, 0.500], [0.250, 0.245, 0.755], [0.497, 0.499, 0.501], [0.759, 0.754, 0.241], [0.241, 0.746, 0.259], [0.750, 0.255, 0.745], [0.000, 0.998, 0.000], [0.251, 0.500, 0.998], [0.000, 0.250, 0.250], [0.753, 0.501, 0.000], [0.749, 0.000, 0.502], [0.247, 0.999, 0.500], [0.000, 0.750, 0.750], [0.500, 0.250, 0.250], [0.500, 0.750, 0.750]]}


(7)
{"formula": "Li4Cr3CoO8", "functional": "PBE+U", "state": "relaxed", "space_group": "P2/m", "e_above_lowest_polymorph_mev_per_atom": 8, "lattice": [[5.914, 0.000, 0.000], [0.000, 5.111, 0.000], [0.000, 1.685, 4.830]], "species": ["O", "O", "O", "O", "O", "O", "O", "O", "Co", "Cr", "Cr", "Cr", "Li", "Li", "Li", "Li"], "fractional_positions": [[0.000, 0.744, 0.275], [0.500, 0.741, 0.274], [0.250, 0.757, 0.727], [0.750, 0.757, 0.727], [0.000, 0.256, 0.725], [0.750, 0.243, 0.273], [0.500, 0.259, 0.726], [0.250, 0.243, 0.273], [0.000, 0.000, 0.500], [0.750, 0.500, 0.500], [0.250, 0.500, 0.500], [0.500, 0.000, 0.500], [0.000, 0.500, 0.000], [0.246, 0.000, 0.000], [0.500, 0.500, 0.000], [0.754, 0.000, 0.000]]}


(8)
{"formula": "Li4Cr3CoO8", "functional": "PBE+U", "state": "relaxed", "space_group": "P-1", "e_above_lowest_polymorph_mev_per_atom": 0, "lattice": [[5.102, 0.000, 0.000], [2.519, 7.330, 0.000], [0.845, 0.896, 7.654]], "species": ["O", "O", "O", "O", "O", "O", "O", "O", "O", "O", "O", "O", "O", "O", "O", "O", "Li", "Li", "Li", "Li", "Li", "Li", "Li", "Li", "Cr", "Cr", "Cr", "Cr", "Cr", "Cr", "Co", "Co"], "fractional_positions": [[0.772, 0.590, 0.717], [0.223, 0.282, 0.656], [0.224, 0.788, 0.162], [0.224, 0.665, 0.528], [0.782, 0.967, 0.587], [0.776, 0.084, 0.222], [0.773, 0.839, 0.966], [0.773, 0.463, 0.094], [0.227, 0.161, 0.034], [0.228, 0.410, 0.283], [0.776, 0.335, 0.472], [0.777, 0.718, 0.344], [0.224, 0.916, 0.778], [0.218, 0.033, 0.413], [0.776, 0.212, 0.838], [0.227, 0.537, 0.906], [0.499, 0.064, 0.811], [0.497, 0.314, 0.063], [0.496, 0.815, 0.560], [0.503, 0.686, 0.937], [0.501, 0.936, 0.189], [0.504, 0.185, 0.440], [0.505, 0.435, 0.688], [0.495, 0.565, 0.312], [0.000, 0.000, 0.000], [0.000, 0.374, 0.874], [0.000, 0.626, 0.126], [0.001, 0.754, 0.746], [0.000, 0.500, 0.500], [0.999, 0.246, 0.254], [0.000, 0.876, 0.376], [0.000, 0.124, 0.624]]}


(9)
{"formula": "Li4Cr3CoO8", "functional": "PBE+U", "state": "relaxed", "e_above_lowest_polymorph_mev_per_atom": 0, "lattice": [[0.659, -3.244, -3.859], [5.394, -7.271, 4.801], [-3.900, -3.665, 2.417]], "species": ["Li", "Li", "Li", "Li", "Li", "Li", "Li", "Li", "O", "O", "O", "O", "O", "O", "O", "O", "O", "O", "O", "O", "O", "O", "O", "O", "Cr", "Cr", "Cr", "Cr", "Cr", "Cr", "Co", "Co"], "fractional_positions": [[0.491, 0.001, 0.752], [0.491, 0.501, 0.752], [0.000, 0.996, 0.505], [0.000, 0.496, 0.505], [0.009, 0.499, 0.998], [0.500, 0.004, 0.245], [0.009, 0.999, 0.998], [0.500, 0.504, 0.245], [0.124, 0.639, 0.687], [0.124, 0.139, 0.687], [0.888, 0.362, 0.819], [0.888, 0.862, 0.820], [0.125, 0.638, 0.174], [0.878, 0.364, 0.318], [0.376, 0.361, 0.063], [0.622, 0.636, 0.432], [0.125, 0.138, 0.175], [0.622, 0.136, 0.432], [0.375, 0.362, 0.575], [0.375, 0.862, 0.576], [0.612, 0.638, 0.930], [0.376, 0.861, 0.063], [0.612, 0.138, 0.931], [0.878, 0.864, 0.318], [0.250, 0.750, 0.375], [0.751, 0.250, 0.122], [0.751, 0.750, 0.122], [0.749, 0.250, 0.628], [0.250, 0.250, 0.375], [0.749, 0.750, 0.628], [0.250, 0.250, 0.875], [0.250, 0.750, 0.875]]}


(10)
{"formula": "Li4Cr3CoO8", "functional": "PBE+U", "state": "relaxed", "space_group": "P-1", "e_above_lowest_polymorph_mev_per_atom": 7, "lattice": [[4.421, 2.535, -0.006], [-1.494, -0.833, 9.694], [2.965, -5.102, -0.012]], "species": ["O", "O", "O", "O", "O", "O", "O", "O", "O", "O", "O", "O", "O", "O", "O", "O", "Li", "Li", "Li", "Li", "Li", "Li", "Li", "Li", "Cr", "Cr", "Cr", "Cr", "Cr", "Cr", "Co", "Co"], "fractional_positions": [[0.624, 0.861, 0.995], [0.625, 0.861, 0.507], [0.622, 0.363, 0.750], [0.112, 0.861, 0.752], [0.373, 0.141, 0.008], [0.615, 0.361, 0.254], [0.123, 0.863, 0.251], [0.377, 0.637, 0.249], [0.127, 0.359, 0.492], [0.874, 0.639, 0.993], [0.875, 0.639, 0.505], [0.385, 0.131, 0.510], [0.885, 0.139, 0.246], [0.388, 0.639, 0.748], [0.115, 0.369, 0.990], [0.878, 0.137, 0.750], [0.011, 0.498, 0.247], [0.997, 0.999, 0.998], [0.503, 0.501, 0.502], [0.002, 0.999, 0.503], [0.988, 0.503, 0.755], [0.512, 0.997, 0.745], [0.489, 0.002, 0.253], [0.498, 0.501, 0.997], [0.750, 0.750, 0.250], [0.250, 0.250, 0.750], [0.250, 0.750, 0.503], [0.752, 0.251, 0.001], [0.748, 0.249, 0.499], [0.250, 0.750, 0.997], [0.750, 0.750, 0.750], [0.250, 0.250, 0.250]]}


(11)
{"formula": "Li2CrCoP2O8", "functional": "PBE+U", "state": "relaxed", "space_group": "Pm", "lattice": [[0.727, -4.486, 1.456], [-8.280, -3.328, -5.161], [3.498, -1.038, -4.943]], "species": ["O", "O", "O", "O", "O", "O", "O", "O", "O", "O", "O", "O", "O", "O", "O", "O", "Co", "Co", "P", "P", "P", "P", "Li", "Li", "Li", "Li", "Cr", "Cr"], "fractional_positions": [[0.740, 0.096, 0.250], [0.791, 0.546, 0.750], [0.241, 0.399, 0.750], [0.726, 0.836, 0.552], [0.696, 0.048, 0.750], [0.275, 0.163, 0.052], [0.306, 0.952, 0.250], [0.790, 0.336, 0.545], [0.262, 0.905, 0.750], [0.207, 0.454, 0.250], [0.757, 0.601, 0.250], [0.790, 0.336, 0.955], [0.207, 0.664, 0.455], [0.207, 0.664, 0.045], [0.275, 0.163, 0.448], [0.726, 0.836, 0.948], [0.981, 0.283, 0.250], [0.022, 0.719, 0.750], [0.583, 0.907, 0.750], [0.916, 0.405, 0.750], [0.418, 0.093, 0.250], [0.082, 0.595, 0.250], [0.501, 0.500, 0.999], [0.001, 0.000, 0.500], [0.501, 0.500, 0.501], [0.001, 0.000, 0.000], [0.541, 0.782, 0.250], [0.458, 0.218, 0.750]]}


(12)
{"formula": "Li4V3Cr2CoP6O24", "functional": "PBE+U", "state": "relaxed", "space_group": "P1", "lattice": [[-0.057, -8.426, 0.920], [-2.292, -5.397, -6.719], [6.248, -4.990, -4.132]], "species": ["O", "O", "O", "O", "O", "O", "O", "O", "O", "O", "O", "O", "O", "O", "O", "O", "O", "O", "O", "O", "O", "O", "O", "O", "P", "P", "P", "P", "P", "P", "V", "V", "V", "Li", "Li", "Li", "Li", "Cr", "Cr", "Co"], "fractional_positions": [[0.236, 0.921, 0.091], [0.056, 0.538, 0.101], [0.253, 0.090, 0.735], [0.262, 0.588, 0.755], [0.752, 0.906, 0.275], [0.782, 0.059, 0.904], [0.941, 0.495, 0.889], [0.454, 0.200, 0.396], [0.899, 0.684, 0.524], [0.783, 0.257, 0.052], [0.575, 0.605, 0.992], [0.271, 0.412, 0.575], [0.077, 0.312, 0.516], [0.062, 0.098, 0.303], [0.433, 0.400, 0.980], [0.270, 0.754, 0.411], [0.736, 0.429, 0.229], [0.961, 0.897, 0.675], [0.598, 0.979, 0.814], [0.533, 0.810, 0.612], [0.225, 0.760, 0.920], [0.440, 0.973, 0.184], [0.716, 0.596, 0.434], [0.727, 0.239, 0.601], [0.764, 0.040, 0.749], [0.760, 0.452, 0.036], [0.727, 0.751, 0.465], [0.264, 0.253, 0.549], [0.242, 0.560, 0.950], [0.251, 0.943, 0.245], [0.436, 0.854, 0.855], [0.944, 0.352, 0.350], [0.069, 0.644, 0.646], [0.732, 0.768, 0.152], [0.733, 0.347, 0.773], [0.746, 0.152, 0.338], [0.248, 0.860, 0.643], [0.003, 0.996, 0.006], [0.500, 0.497, 0.497], [0.543, 0.152, 0.155]]}


no.,E_form (meV per atom),E (eV per cell)
1,-1643,-142.77
2,-1678,-341.82
3,-1669,-177.83
4,-1766,-90.38
5,-1793,-94.48
6,-2220,-211.35
7,-2225,-105.76
8,-2233,-211.76
9,-2233,-211.77
10,-2226,-211.54
11,-2464,-192.69
12,-2530,-286.50